Entry 1:
Below is crystalline AlSn2PH24C8 at its relaxed geometry, with properties calculated at the GGA-PBE level.

As for the total magnetic moment: 0.000 μB per cell. Its total energy is -4.91 eV per atom. The calculation puts the density at 1.6 g/cm3. The formation energy is -0.12 eV per atom. As for the space-group type: P-1, No. 2.

Cell and atoms, written as POSCAR:
```
AlSn2PH24C8
1.0
-0.574 -6.008 -7.598
0.696 -9.747 2.242
-9.773 -2.816 1.202
Al Sn P H C
2 4 2 48 16
direct
0.017 0.638 0.069
0.983 0.362 0.931
0.165 0.658 0.668
0.711 0.812 0.763
0.289 0.188 0.237
0.835 0.342 0.332
0.969 0.618 0.845
0.031 0.382 0.155
0.186 0.685 0.395
0.255 0.217 0.504
0.257 0.889 0.598
0.660 0.663 0.592
0.688 0.445 0.976
0.575 0.116 0.123
0.427 0.469 0.803
0.385 0.370 0.699
0.266 0.945 0.176
0.743 0.111 0.402
0.750 0.367 0.828
0.469 0.499 0.626
0.202 0.956 0.347
0.176 0.094 0.910
0.533 0.687 0.928
0.145 0.211 0.749
0.904 0.439 0.536
0.425 0.884 0.877
0.062 0.962 0.655
0.990 0.759 0.446
0.814 0.315 0.605
0.312 0.555 0.024
0.745 0.783 0.496
0.218 0.752 0.012
0.207 0.866 0.773
0.556 0.818 0.007
0.401 0.881 0.303
0.938 0.038 0.345
0.573 0.531 0.197
0.734 0.055 0.824
0.793 0.134 0.227
0.782 0.248 0.988
0.444 0.182 0.993
0.731 0.783 0.142
0.269 0.217 0.858
0.096 0.561 0.464
0.467 0.313 0.072
0.340 0.337 0.408
0.548 0.860 0.546
0.798 0.044 0.653
0.824 0.906 0.090
0.250 0.633 0.172
0.010 0.241 0.554
0.599 0.119 0.697
0.855 0.789 0.251
0.452 0.140 0.454
0.531 0.501 0.374
0.615 0.630 0.301
0.465 0.202 0.088
0.161 0.207 0.855
0.101 0.666 0.470
0.612 0.523 0.296
0.839 0.793 0.145
0.173 0.869 0.674
0.827 0.131 0.326
0.289 0.966 0.270
0.899 0.334 0.530
0.711 0.034 0.730
0.219 0.644 0.069
0.339 0.225 0.424
0.388 0.477 0.704
0.781 0.356 0.931
0.661 0.775 0.576
0.535 0.798 0.912
```

---

Entry 2:
Below is crystalline K2ScCuCl6 at its relaxed geometry, with properties calculated at the GGA-PBE level.

As for the total magnetic moment: 0.001 μB per cell. Its total energy is -4.06 eV per atom. The calculation puts the density at 2.6 g/cm3. The formation energy is -2.06 eV per atom. As for the space-group type: Fm-3m, No. 225.

Cell and atoms, written as POSCAR:
```
K2ScCuCl6
1.0
0.000 5.037 5.037
5.037 0.000 5.037
5.037 5.037 0.000
K Sc Cu Cl
2 1 1 6
direct
0.750 0.750 0.750
0.250 0.250 0.250
0.000 0.000 0.000
0.500 0.500 0.500
0.752 0.248 0.248
0.248 0.248 0.752
0.248 0.752 0.752
0.248 0.752 0.248
0.752 0.248 0.752
0.752 0.752 0.248
```

---

> Look up the total magnetic moment of the second one.

0.001 μB per cell

---

> Which value of density does entry 2 give?

2.6 g/cm3